1.
Compound: TbHo3
Source: the Materials Project
Functional: meta-GGA r2SCAN
Structure: optimized geometry

a = 6.1294 Å, b = 6.1294 Å, c = 6.1294 Å
α = 131.87°, β = 131.87°, γ = 70.43°
Fractional coordinates of all 4 atoms:
Tb1 0.0000 0.0000 0.0000
Ho1 0.2500 0.7500 0.5000
Ho2 0.5000 0.5000 0.0000
Ho3 0.7500 0.2500 0.5000

Results
Space group: I4/mmm


2.
Compound: Ho2Te3
Source: the Materials Project
Functional: meta-GGA r2SCAN
Structure: optimized geometry

a = 14.3824 Å, b = 13.7159 Å, c = 7.5190 Å
α = 79.44°, β = 69.64°, γ = 30.93°
Fractional coordinates of all 20 atoms:
Ho1 0.0419 0.0419 0.2081
Ho2 0.1257 0.1257 0.6243
Ho3 0.2081 0.2081 0.0419
Ho4 0.3757 0.3757 0.8743
Ho5 0.6243 0.6243 0.1257
Ho6 0.7919 0.7919 0.9581
Ho7 0.8743 0.8743 0.3757
Ho8 0.9581 0.9581 0.7919
Te1 0.0439 0.5410 0.2044
Te2 0.1247 0.6253 0.6253
Te3 0.2044 0.7107 0.0439
Te4 0.2893 0.7956 0.4590
Te5 0.3747 0.8753 0.8753
Te6 0.4590 0.9561 0.2893
Te7 0.5410 0.0439 0.7107
Te8 0.6253 0.1247 0.1247
Te9 0.7107 0.2044 0.5410
Te10 0.7956 0.2893 0.9561
Te11 0.8753 0.3747 0.3747
Te12 0.9561 0.4590 0.7956

Results
Space group: Fddd


3.
Compound: HoUTe4
Source: the Materials Project
Functional: meta-GGA r2SCAN
Structure: optimized geometry

a = 8.0612 Å, b = 8.0612 Å, c = 8.0612 Å
α = 149.43°, β = 135.48°, γ = 54.97°
Fractional coordinates of all 6 atoms:
Ho1 0.0000 0.0000 0.0000
U1 0.2776 0.2776 0.0000
Te1 0.3908 0.6422 0.7487
Te2 0.4349 0.9349 0.5000
Te3 0.8495 0.3495 0.5000
Te4 0.8935 0.6422 0.2513

Results
Space group: Imm2


4.
Compound: HoTh
Source: the Materials Project
Functional: meta-GGA r2SCAN
Structure: optimized geometry

a = 6.0622 Å, b = 6.0622 Å, c = 6.0622 Å
α = 34.23°, β = 34.23°, γ = 34.23°
Fractional coordinates of all 2 atoms:
Ho1 0.0000 0.0000 0.0000
Th1 0.5000 0.5000 0.5000

Results
Space group: R-3m


5.
Compound: Ho3Th
Source: the Materials Project
Functional: meta-GGA r2SCAN
Structure: optimized geometry

a = 7.1632 Å, b = 7.1632 Å, c = 5.7310 Å
α = 90.00°, β = 90.00°, γ = 120.00°
Fractional coordinates of all 8 atoms:
Ho1 0.1676 0.3353 0.2500
Ho2 0.1676 0.8324 0.2500
Ho3 0.3353 0.1676 0.7500
Ho4 0.6647 0.8324 0.2500
Ho5 0.8324 0.1676 0.7500
Ho6 0.8324 0.6647 0.7500
Th1 0.3333 0.6667 0.7500
Th2 0.6667 0.3333 0.2500

Results
Space group: P6_3/mmc


6.
Compound: HoTl3
Source: the Materials Project
Functional: meta-GGA r2SCAN
Structure: optimized geometry

a = 4.7112 Å, b = 4.7112 Å, c = 4.7112 Å
α = 90.00°, β = 90.00°, γ = 90.00°
Fractional coordinates of all 4 atoms:
Ho1 0.0000 0.0000 0.0000
Tl1 0.0000 0.5000 0.5000
Tl2 0.5000 0.0000 0.5000
Tl3 0.5000 0.5000 0.0000

Results
Space group: Pm-3m


7.
Compound: HoTmTl2
Source: the Materials Project
Functional: meta-GGA r2SCAN
Structure: optimized geometry

a = 5.2865 Å, b = 5.2865 Å, c = 5.2865 Å
α = 60.00°, β = 60.00°, γ = 60.00°
Fractional coordinates of all 4 atoms:
Ho1 0.0000 0.0000 0.0000
Tm1 0.5000 0.5000 0.5000
Tl1 0.2500 0.2500 0.2500
Tl2 0.7500 0.7500 0.7500

Results
Space group: Fm-3m


8.
Compound: Y3Ho
Source: the Materials Project
Functional: meta-GGA r2SCAN
Structure: optimized geometry

a = 7.2541 Å, b = 7.2541 Å, c = 5.8392 Å
α = 90.00°, β = 90.00°, γ = 120.00°
Fractional coordinates of all 8 atoms:
Y1 0.1674 0.3347 0.2500
Y2 0.1674 0.8326 0.2500
Y3 0.3347 0.1674 0.7500
Y4 0.6653 0.8326 0.2500
Y5 0.8326 0.1674 0.7500
Y6 0.8326 0.6653 0.7500
Ho1 0.3333 0.6667 0.7500
Ho2 0.6667 0.3333 0.2500

Results
Space group: P6_3/mmc


| no. | calculated total energy (Ha/atom) | formation energy (eV per atom) |
| --- | --- | --- |
| 1 | -1.1916 | 0.043 |
| 2 | -1.1050 | -1.666 |
| 3 | -1.3589 | -1.230 |
| 4 | -1.9531 | 0.031 |
| 5 | -1.5797 | 0.043 |
| 6 | -1.7778 | -0.272 |
| 7 | -1.6168 | -0.406 |
| 8 | -0.8620 | -0.001 |